*P*
A geometry-optimized Sr2MgMoO4 structure, computed with GGA+U. Values from VASP.

The structure in Quantum ESPRESSO input format:
```
&SYSTEM
  ibrav = 0, nat = 8, ntyp = 4
/
ATOMIC_SPECIES
Mo 95.94 Mo.upf
O 16.00 O.upf
Mg 24.30 Mg.upf
Sr 87.62 Sr.upf
CELL_PARAMETERS angstrom
3.942 0.000 -1.149
-0.335 3.928 -1.149
0.753 0.820 9.918
ATOMIC_POSITIONS crystal
Mo 0.000 0.000 0.000
O 0.500 0.000 0.000
Mg 0.500 0.500 0.000
O 0.000 0.500 0.000
O 0.808 0.808 0.615
Sr 0.688 0.688 0.376
O 0.192 0.192 0.385
Sr 0.312 0.312 0.624
```

*Q*
A geometry-optimized Sr2MgMoO4 structure, computed with GGA+U. Values from VASP.

The structure in Quantum ESPRESSO input format:
```
&SYSTEM
  ibrav = 0, nat = 8, ntyp = 4
/
ATOMIC_SPECIES
Mg 24.30 Mg.upf
O 16.00 O.upf
Sr 87.62 Sr.upf
Mo 95.94 Mo.upf
CELL_PARAMETERS angstrom
3.955 0.000 -1.153
-0.336 3.940 -1.153
0.365 0.398 8.613
ATOMIC_POSITIONS crystal
Mg 0.250 0.750 0.500
O 0.499 0.999 0.998
Sr 0.601 0.601 0.202
O 0.001 0.501 0.002
Mo 0.000 0.000 0.000
O 0.860 0.860 0.721
Sr 0.399 0.399 0.798
O 0.140 0.140 0.279
```

Which one sits at the top of the stability order? *P* does.

*P*
A geometry-optimized Sr2MgTiMoO6 structure, computed with GGA+U. Values from VASP.

The structure in Quantum ESPRESSO input format:
```
&SYSTEM
  ibrav = 0, nat = 11, ntyp = 5
/
ATOMIC_SPECIES
Sr 87.62 Sr.upf
O 16.00 O.upf
Ti 47.87 Ti.upf
Mg 24.30 Mg.upf
Mo 95.94 Mo.upf
CELL_PARAMETERS angstrom
1.126 4.462 3.591
0.408 -5.634 2.189
3.667 -1.023 -4.610
ATOMIC_POSITIONS crystal
Sr 0.466 0.306 0.674
O 0.971 0.286 0.198
O 0.029 0.714 0.802
O 0.486 0.743 0.746
Sr 0.534 0.694 0.326
Ti 0.000 0.500 0.500
O 0.999 0.207 0.694
O 0.001 0.793 0.306
O 0.514 0.257 0.254
Mg 0.500 0.000 0.000
Mo 0.000 0.000 0.000
```

*Q*
A geometry-optimized Sr2MgTiMoO6 structure, computed with GGA+U. Values from VASP.

The structure in Quantum ESPRESSO input format:
```
&SYSTEM
  ibrav = 0, nat = 11, ntyp = 5
/
ATOMIC_SPECIES
O 16.00 O.upf
Mo 95.94 Mo.upf
Mg 24.30 Mg.upf
Sr 87.62 Sr.upf
Ti 47.87 Ti.upf
CELL_PARAMETERS angstrom
-3.590 -3.799 5.158
-2.292 2.858 -4.794
2.760 -1.852 -4.501
ATOMIC_POSITIONS crystal
O 0.128 0.761 0.992
O 0.945 0.706 0.367
O 0.429 0.278 0.359
O 0.503 0.692 0.662
Mo 0.982 0.978 0.016
Mg 0.835 0.408 0.659
O 0.000 0.246 0.650
O 0.843 0.210 0.049
Sr 0.371 0.197 0.781
Sr 0.568 0.758 0.233
Ti 0.110 0.550 0.351
```

Which one sits at the top of the stability order? *Q* does.